Entry P
Entry from the Materials Project database: crystalline Mg14MnB at its relaxed geometry (PBE).

a = 9.947 Å, b = 6.254 Å, c = 10.756 Å
α = 90.00°, β = 90.00°, γ = 90.00°
Space group Amm2 (No. 38)
One atom of each set of equivalent atoms:
Mg1 0.000 0.000 0.000
Mg2 0.000 0.000 0.498
Mg3 0.000 0.248 0.253
Mg4 0.251 0.000 0.666
Mg5 0.258 0.000 0.166
Mg6 0.281 0.243 0.925
Mg7 0.500 0.247 0.231
Mn1 0.500 0.000 0.505
B1 0.500 0.000 0.025

Summary:
- total magnetic moment (μB per cell) = 7.493


Entry Q
Entry from the Materials Project database: crystalline Mg14MnB at its relaxed geometry (PBE).

a = 6.1919 Å, b = 6.1919 Å, c = 10.0684 Å
α = 90.00°, β = 90.00°, γ = 120.00°
Space group P-6m2 (No. 187)
One atom of each set of equivalent atoms:
Mg1 0.0000 0.0000 0.2479
Mg2 0.0123 0.5061 0.2533
Mg3 0.3312 0.1656 0.5000
Mg4 0.3354 0.1677 0.0000
Mn1 0.3333 0.6667 0.0000
B1 0.3333 0.6667 0.5000

Summary:
- total magnetic moment (μB per cell) = 4.234


It is entry P that is most stable; the runner-up trails by 13 meV/atom.